First-principles (GGA-PBE) data for a relaxed structure of Li4B4Sb2SO16, as listed in the Materials Project database.

## Properties
Energy   -356.10 eV per cell

Cell: 9.8385 9.7452 9.4697 Å, 61.58 60.59 57.83°
Last column: nearest neighbours and their distance in Å.
Positions (direct):
Li: 0.9498 0.5502 0.9498  6 O 2.17-2.42
Li: 0.9516 0.5484 0.5484  4 O 2.15-2.27
Li: 0.7016 0.2984 0.2984  4 O 2.15-2.27
Li: 0.6998 0.3002 0.6998  6 O 2.17-2.42
Li: 0.5502 0.9498 0.5502  6 O 2.17-2.42
Li: 0.5484 0.9516 0.9516  4 O 2.15-2.27
Li: 0.2984 0.7016 0.7016  4 O 2.15-2.27
Li: 0.3002 0.6998 0.3002  6 O 2.17-2.42
B: 0.8966 0.2726 0.9189  3 O 1.37-1.39
B: 0.9774 0.3534 0.3381  3 O 1.37-1.39
B: 0.9189 0.9119 0.8966  3 O 1.37-1.39
B: 0.9119 0.9189 0.2726  3 O 1.37-1.39
B: 0.3381 0.3311 0.9774  3 O 1.37-1.39
B: 0.3311 0.3381 0.3534  3 O 1.37-1.39
B: 0.2726 0.8966 0.9119  3 O 1.37-1.39
B: 0.3534 0.9774 0.3311  3 O 1.37-1.39
Sb: 0.1250 0.6250 0.1250  6 O 2.00-2.02
Sb: 0.6250 0.1250 0.1250  6 O 2.00-2.02
Sb: 0.1250 0.1250 0.1250  6 O 2.00-2.02
Sb: 0.1250 0.1250 0.6250  6 O 2.00-2.02
S: 0.5000 0.5000 0.5000  4 O 1.50
S: 0.7500 0.7500 0.7500  4 O 1.50
O: 0.0263 0.2755 0.9363  1 B 1.38
O: 0.5575 0.5553 0.3100  1 S 1.50
O: 0.7514 0.2667 0.0528  1 B 1.37
O: 0.9833 0.4986 0.3210  1 B 1.37
O: 0.0528 0.9290 0.7514  1 B 1.37
O: 0.9730 0.3340 0.2045  1 B 1.39
O: 0.3100 0.5772 0.5575  1 S 1.50
O: 0.5553 0.5575 0.5772  1 S 1.50
O: 0.4885 0.2045 0.3340  1 B 1.39
O: 0.9290 0.0528 0.2667  1 B 1.37
O: 0.9745 0.2237 0.4881  1 B 1.38
O: 0.5772 0.3100 0.5553  1 S 1.50
O: 0.9363 0.7619 0.0263  1 B 1.38
O: 0.7619 0.9363 0.2755  1 B 1.38
O: 0.9160 0.2770 0.7615  1 B 1.39
O: 0.2045 0.4885 0.9730  1 B 1.39
O: 0.0455 0.7615 0.2770  1 B 1.39
O: 0.3340 0.9730 0.4885  1 B 1.39
O: 0.4881 0.3137 0.9745  1 B 1.38
O: 0.3137 0.4881 0.2237  1 B 1.38
O: 0.6728 0.9400 0.6947  1 S 1.50
O: 0.2755 0.0263 0.7619  1 B 1.38
O: 0.3210 0.1972 0.9833  1 B 1.37
O: 0.7615 0.0455 0.9160  1 B 1.39
O: 0.6947 0.6925 0.6728  1 S 1.50
O: 0.9400 0.6728 0.6925  1 S 1.50
O: 0.2770 0.9160 0.0455  1 B 1.39
O: 0.1972 0.3210 0.4986  1 B 1.37
O: 0.2667 0.7514 0.9290  1 B 1.37
O: 0.4986 0.9833 0.1972  1 B 1.37
O: 0.6925 0.6947 0.9400  1 S 1.50
O: 0.2237 0.9745 0.3137  1 B 1.38